No. 1
# HoV2Fe10 (PBE, optimized geometry)
data_HoV2Fe10
_chemical_formula_sum 'Ho1 V2 Fe10'
_space_group_name_H-M_alt 'P 1'
_space_group_IT_number 1
_cell_length_a 4.6930
_cell_length_b 6.4334
_cell_length_c 6.4334
_cell_angle_alpha 97.31
_cell_angle_beta 111.39
_cell_angle_gamma 68.61
loop_
_space_group_symop_operation_xyz
'x,y,z'
loop_
_atom_site_label
_atom_site_type_symbol
_atom_site_fract_x
_atom_site_fract_y
_atom_site_fract_z
Fe1 Fe 0.5000 0.7731 0.7731
Fe2 Fe 0.3594 0.6406 0.3594
V1 V 0.0000 0.6414 0.6414
Fe3 Fe 0.5000 0.2269 0.2269
Fe4 Fe 0.7254 0.7746 0.2254
Fe5 Fe 0.0000 0.5000 0.0000
Fe6 Fe 0.2746 0.2254 0.7746
Fe7 Fe 0.6406 0.3594 0.6406
Fe8 Fe 0.0000 0.0000 0.5000
V2 V 0.0000 0.3586 0.3586
Fe9 Fe 0.5000 0.0000 0.5000
Ho1 Ho 0.0000 0.0000 0.0000
Fe10 Fe 0.5000 0.5000 0.0000
# V   12.95 A^3/atom
# DFT formation energy   -0.075 eV per atom

---

No. 2
# KFeI3 (PBE, optimized geometry)
data_KFeI3
_chemical_formula_sum 'K4 Fe4 I12'
_space_group_name_H-M_alt 'P 1'
_space_group_IT_number 1
_cell_length_a 4.0611
_cell_length_b 9.7906
_cell_length_c 16.3011
_cell_angle_alpha 90.00
_cell_angle_beta 90.00
_cell_angle_gamma 90.00
loop_
_space_group_symop_operation_xyz
'x,y,z'
loop_
_atom_site_label
_atom_site_type_symbol
_atom_site_fract_x
_atom_site_fract_y
_atom_site_fract_z
I1 I 0.2500 0.5145 0.5887
K1 K 0.2500 0.9403 0.6722
I2 I 0.7500 0.8124 0.5006
Fe1 Fe 0.2500 0.1484 0.0484
Fe2 Fe 0.7500 0.3516 0.5484
I3 I 0.2500 0.1876 0.4994
I4 I 0.2500 0.6876 0.0006
Fe3 Fe 0.2500 0.6484 0.4516
I5 I 0.2500 0.2645 0.1988
K2 K 0.2500 0.4403 0.8278
I6 I 0.7500 0.3124 0.9994
I7 I 0.7500 0.4855 0.4113
I8 I 0.7500 0.7355 0.8012
K3 K 0.7500 0.5597 0.1722
I9 I 0.7500 0.9855 0.0887
I10 I 0.7500 0.2355 0.6988
I11 I 0.2500 0.7645 0.3012
Fe4 Fe 0.7500 0.8516 0.9516
I12 I 0.2500 0.0145 0.9113
K4 K 0.7500 0.0597 0.3278
# E (MP2020)   -3.5712 eV per atom
# V   32.41 A^3/atom
# DFT formation energy   -0.741 eV per atom

---

No. 3
# K2FeI4 (PBE, optimized geometry)
data_K2FeI4
_chemical_formula_sum 'K4 Fe2 I8'
_space_group_name_H-M_alt 'P 1'
_space_group_IT_number 1
_cell_length_a 8.2222
_cell_length_b 7.9493
_cell_length_c 9.7834
_cell_angle_alpha 71.80
_cell_angle_beta 90.00
_cell_angle_gamma 90.00
loop_
_space_group_symop_operation_xyz
'x,y,z'
loop_
_atom_site_label
_atom_site_type_symbol
_atom_site_fract_x
_atom_site_fract_y
_atom_site_fract_z
I1 I 0.2500 0.6004 0.5749
I2 I 0.2500 0.5797 0.1274
I3 I 0.4982 0.0062 0.7603
Fe1 Fe 0.2500 0.7762 0.2991
I4 I 0.7500 0.3996 0.4251
Fe2 Fe 0.7500 0.2238 0.7009
I5 I 0.5018 0.9938 0.2397
I6 I 0.0018 0.0062 0.7603
K1 K 0.2500 0.2186 0.4484
K2 K 0.7500 0.7320 0.0680
K3 K 0.7500 0.7814 0.5516
I7 I 0.7500 0.4203 0.8726
I8 I 0.9982 0.9938 0.2397
K4 K 0.2500 0.2680 0.9320
# E (MP2020)   -3.5141 eV per atom
# V   43.39 A^3/atom
# DFT formation energy   -1.116 eV per atom

---

No. 4
# La2Fe2I (PBE, optimized geometry)
data_La2Fe2I
_chemical_formula_sum 'La4 Fe4 I2'
_space_group_name_H-M_alt 'P 1'
_space_group_IT_number 1
_cell_length_a 4.0710
_cell_length_b 4.0710
_cell_length_c 18.2285
_cell_angle_alpha 90.00
_cell_angle_beta 90.00
_cell_angle_gamma 120.00
loop_
_space_group_symop_operation_xyz
'x,y,z'
loop_
_atom_site_label
_atom_site_type_symbol
_atom_site_fract_x
_atom_site_fract_y
_atom_site_fract_z
Fe1 Fe 0.3333 0.6667 0.0018
I1 I 0.3333 0.6667 0.7500
Fe2 Fe 0.6667 0.3333 0.9982
La1 La 0.0000 0.0000 0.1057
I2 I 0.6667 0.3333 0.2500
Fe3 Fe 0.3333 0.6667 0.4982
La2 La 0.0000 0.0000 0.3943
La3 La 0.0000 0.0000 0.6057
La4 La 0.0000 0.0000 0.8943
Fe4 Fe 0.6667 0.3333 0.5018
# E (MP2020)   -6.2356 eV per atom
# V   26.16 A^3/atom
# DFT formation energy   -0.568 eV per atom

---

No. 5
# Pr12Fe2I17 (PBE, optimized geometry)
data_Pr12Fe2I17
_chemical_formula_sum 'Pr12 Fe2 I17'
_space_group_name_H-M_alt 'P 1'
_space_group_IT_number 1
_cell_length_a 10.0349
_cell_length_b 12.0669
_cell_length_c 12.1034
_cell_angle_alpha 93.43
_cell_angle_beta 104.68
_cell_angle_gamma 114.52
loop_
_space_group_symop_operation_xyz
'x,y,z'
loop_
_atom_site_label
_atom_site_type_symbol
_atom_site_fract_x
_atom_site_fract_y
_atom_site_fract_z
I1 I 0.8418 0.8937 0.3232
Pr1 Pr 0.9420 0.4898 0.6769
Pr2 Pr 0.7779 0.3301 0.0121
Pr3 Pr 0.3499 0.7591 0.7177
Pr4 Pr 0.0087 0.1889 0.4166
I2 I 0.0560 0.3666 0.8961
I3 I 0.9440 0.6334 0.1039
I4 I 0.5892 0.0534 0.8420
I5 I 0.7840 0.5292 0.4169
Fe1 Fe 0.8959 0.2619 0.2145
Pr5 Pr 0.1462 0.2873 0.1530
I6 I 0.7521 0.1812 0.5373
I7 I 0.6749 0.7882 0.6296
Pr6 Pr 0.0580 0.5102 0.3231
Pr7 Pr 0.7401 0.0146 0.1075
I8 I 0.4522 0.2942 0.0473
I9 I 0.3605 0.5817 0.2425
Pr8 Pr 0.6501 0.2409 0.2823
I10 I 0.5478 0.7058 0.9527
Pr9 Pr 0.2221 0.6699 0.9879
Pr10 Pr 0.2599 0.9854 0.8925
I11 I 0.2160 0.4708 0.5831
I12 I 0.2479 0.8188 0.4627
I13 I 0.1582 0.1063 0.6768
Pr11 Pr 0.9913 0.8111 0.5834
I14 I 0.4108 0.9466 0.1580
Pr12 Pr 0.8538 0.7127 0.8470
I15 I 0.6395 0.4183 0.7575
I16 I 0.3251 0.2118 0.3704
I17 I 0.0000 0.0000 0.0000
Fe2 Fe 0.1041 0.7381 0.7855
# E (MP2020)   -4.5819 eV per atom
# V   40.87 A^3/atom
# DFT formation energy   -1.349 eV per atom

---

No. 6
# Tb7FeI12 (PBE, optimized geometry)
data_Tb7FeI12
_chemical_formula_sum 'Tb7 Fe1 I12'
_space_group_name_H-M_alt 'P 1'
_space_group_IT_number 1
_cell_length_a 9.7143
_cell_length_b 9.7143
_cell_length_c 9.7143
_cell_angle_alpha 106.89
_cell_angle_beta 106.89
_cell_angle_gamma 106.89
loop_
_space_group_symop_operation_xyz
'x,y,z'
loop_
_atom_site_label
_atom_site_type_symbol
_atom_site_fract_x
_atom_site_fract_y
_atom_site_fract_z
I1 I 0.1599 0.4666 0.3887
I2 I 0.9273 0.7733 0.3201
I3 I 0.7733 0.3201 0.9273
I4 I 0.0727 0.2267 0.6799
I5 I 0.4666 0.3887 0.1599
Tb1 Tb 0.9763 0.9071 0.7094
I6 I 0.6799 0.0727 0.2267
Tb2 Tb 0.2906 0.0237 0.0929
I7 I 0.5334 0.6113 0.8401
Tb3 Tb 0.9071 0.7094 0.9763
Tb4 Tb 0.0237 0.0929 0.2906
Tb5 Tb 0.0929 0.2906 0.0237
I8 I 0.8401 0.5334 0.6113
I9 I 0.3201 0.9273 0.7733
I10 I 0.3887 0.1599 0.4666
I11 I 0.2267 0.6799 0.0727
Tb6 Tb 0.7094 0.9763 0.9071
Tb7 Tb 0.5000 0.5000 0.5000
I12 I 0.6113 0.8401 0.5334
Fe1 Fe 0.0000 0.0000 0.0000
# E (MP2020)   -4.3807 eV per atom
# V   38.28 A^3/atom
# DFT formation energy   -1.421 eV per atom

---

No. 7
# Y7FeI12 (PBE, optimized geometry)
data_Y7FeI12
_chemical_formula_sum 'Y7 Fe1 I12'
_space_group_name_H-M_alt 'P 1'
_space_group_IT_number 1
_cell_length_a 9.7245
_cell_length_b 9.7245
_cell_length_c 9.7245
_cell_angle_alpha 107.01
_cell_angle_beta 107.01
_cell_angle_gamma 107.01
loop_
_space_group_symop_operation_xyz
'x,y,z'
loop_
_atom_site_label
_atom_site_type_symbol
_atom_site_fract_x
_atom_site_fract_y
_atom_site_fract_z
I1 I 0.9273 0.7723 0.3218
Y1 Y 0.2904 0.0219 0.0916
I2 I 0.7723 0.3218 0.9273
I3 I 0.2277 0.6782 0.0727
I4 I 0.1592 0.4643 0.3866
I5 I 0.5357 0.6134 0.8408
I6 I 0.0727 0.2277 0.6782
I7 I 0.3866 0.1592 0.4643
I8 I 0.3218 0.9273 0.7723
I9 I 0.6134 0.8408 0.5357
Y2 Y 0.9781 0.9084 0.7096
Y3 Y 0.5000 0.5000 0.5000
I10 I 0.6782 0.0727 0.2277
Y4 Y 0.0219 0.0916 0.2904
I11 I 0.4643 0.3866 0.1592
Y5 Y 0.9084 0.7096 0.9781
Y6 Y 0.7096 0.9781 0.9084
Fe1 Fe 0.0000 0.0000 0.0000
I12 I 0.8408 0.5357 0.6134
Y7 Y 0.0916 0.2904 0.0219
# Energy relative to the lowest polymorph listed for this composition   0.000 eV per atom
# E (MP2020)   -5.0250 eV per atom
# V   38.28 A^3/atom
# DFT formation energy   -1.424 eV per atom

---

No. 8
# Zr6FeI14 (PBE, optimized geometry)
data_Zr6FeI14
_chemical_formula_sum 'Zr12 Fe2 I28'
_space_group_name_H-M_alt 'P 1'
_space_group_IT_number 1
_cell_length_a 11.0991
_cell_length_b 11.0991
_cell_length_c 13.3697
_cell_angle_alpha 90.00
_cell_angle_beta 90.00
_cell_angle_gamma 94.69
loop_
_space_group_symop_operation_xyz
'x,y,z'
loop_
_atom_site_label
_atom_site_type_symbol
_atom_site_fract_x
_atom_site_fract_y
_atom_site_fract_z
I1 I 0.4652 0.7132 0.7455
I2 I 0.3968 0.8968 0.2500
I3 I 0.8863 0.6397 0.9904
I4 I 0.1032 0.6032 0.7500
Zr1 Zr 0.4548 0.6752 0.3880
Zr2 Zr 0.5452 0.3248 0.6120
Zr3 Zr 0.9548 0.1752 0.1120
Fe1 Fe 0.0000 0.0000 0.0000
I5 I 0.7868 0.0348 0.2455
I6 I 0.3863 0.1397 0.5096
Zr4 Zr 0.8633 0.8633 0.1002
Zr5 Zr 0.1367 0.1367 0.8998
Zr6 Zr 0.1752 0.9548 0.1120
I7 I 0.8968 0.3968 0.2500
I8 I 0.7496 0.2504 0.0000
I9 I 0.6397 0.8863 0.9904
I10 I 0.2504 0.7496 0.0000
Fe2 Fe 0.5000 0.5000 0.5000
I11 I 0.6032 0.1032 0.7500
I12 I 0.3603 0.1137 0.0096
I13 I 0.1137 0.3603 0.0096
I14 I 0.1397 0.3863 0.5096
I15 I 0.6499 0.6499 0.2389
I16 I 0.3501 0.3501 0.7611
I17 I 0.5348 0.2868 0.2545
I18 I 0.7132 0.4652 0.7455
I19 I 0.2496 0.7504 0.5000
Zr7 Zr 0.3633 0.3633 0.3998
Zr8 Zr 0.3248 0.5452 0.6120
Zr9 Zr 0.6367 0.6367 0.6002
Zr10 Zr 0.0452 0.8248 0.8880
I20 I 0.0348 0.7868 0.2455
I21 I 0.8501 0.8501 0.7389
I22 I 0.6137 0.8603 0.4904
I23 I 0.7504 0.2496 0.5000
I24 I 0.2132 0.9652 0.7545
I25 I 0.2868 0.5348 0.2545
Zr11 Zr 0.8248 0.0452 0.8880
Zr12 Zr 0.6752 0.4548 0.3880
I26 I 0.8603 0.6137 0.4904
I27 I 0.1499 0.1499 0.2611
I28 I 0.9652 0.2132 0.7545
# E (MP2020)   -5.0447 eV per atom
# V   39.08 A^3/atom
# DFT formation energy   -1.183 eV per atom